# 1
DFT (r²SCAN) results for an optimized crystal structure of DyCu5.

```
6
Lattice="0.000 3.476 3.476 3.476 0.000 3.476 3.476 3.476 0.000" Properties=species:S:1:pos:R:3 pbc="T T T"
Dy 0.000 0.000 0.000
Cu 4.337 2.614 2.614
Cu 1.738 1.738 1.738
Cu 2.614 4.337 2.614
Cu 2.614 2.614 4.337
Cu 4.337 4.337 4.337
```

# 2
DFT (r²SCAN) results for an optimized crystal structure of BaB8O13.

```
88
Lattice="8.654 0.000 0.000 0.000 8.654 0.000 0.000 0.000 13.105" Properties=species:S:1:pos:R:3 pbc="T T T"
Ba 0.000 4.047 0.000
Ba 0.000 4.607 6.553
Ba 4.047 0.000 9.829
Ba 4.607 0.000 3.276
B 0.653 1.886 9.797
B 0.653 6.767 9.861
B 1.105 1.105 4.914
B 1.105 7.549 1.638
B 1.630 2.282 2.822
B 1.630 6.372 3.730
B 1.886 0.653 0.032
B 1.886 8.001 6.520
B 2.282 1.630 7.007
B 2.282 7.024 12.651
B 2.467 2.467 11.467
B 2.467 6.187 8.191
B 3.205 3.790 8.019
B 3.205 4.864 11.639
B 3.790 3.205 1.810
B 3.790 5.449 4.743
B 4.864 3.205 11.295
B 4.864 5.449 8.362
B 5.449 3.790 5.086
B 5.449 4.864 1.467
B 6.187 2.467 1.638
B 6.187 6.187 4.914
B 6.372 1.630 6.098
B 6.372 7.024 0.454
B 6.767 0.653 13.073
B 6.767 8.001 6.585
B 7.024 2.282 10.283
B 7.024 6.372 9.375
B 7.549 1.105 8.191
B 7.549 7.549 11.467
B 8.001 1.886 3.308
B 8.001 6.767 3.244
O 0.283 1.291 8.634
O 0.283 7.363 11.024
O 0.299 2.603 2.589
O 0.299 6.051 3.963
O 1.291 0.283 1.195
O 1.291 8.371 5.358
O 1.441 2.042 6.028
O 1.441 6.611 0.525
O 1.842 1.931 12.673
O 1.842 6.723 6.985
O 1.931 1.842 10.261
O 1.931 6.812 9.397
O 2.042 1.441 3.801
O 2.042 7.213 2.752
O 2.215 3.938 11.532
O 2.215 4.716 8.126
O 2.474 3.000 2.034
O 2.474 5.654 4.519
O 2.603 0.299 7.240
O 2.603 8.355 12.418
O 3.000 2.474 7.795
O 3.000 6.180 11.863
O 3.938 2.215 11.402
O 3.938 6.439 8.256
O 4.132 4.132 4.914
O 4.132 4.522 1.638
O 4.522 4.132 8.191
O 4.522 4.522 11.467
O 4.716 2.215 1.703
O 4.716 6.439 4.849
O 5.654 2.474 5.310
O 5.654 6.180 1.242
O 6.051 0.299 5.866
O 6.051 8.355 0.687
O 6.180 3.000 11.071
O 6.180 5.654 8.587
O 6.439 3.938 1.573
O 6.439 4.716 4.979
O 6.611 1.441 9.304
O 6.611 7.213 10.353
O 6.723 1.842 2.844
O 6.723 6.812 3.708
O 6.812 1.931 0.432
O 6.812 6.723 6.120
O 7.213 2.042 7.077
O 7.213 6.611 12.581
O 7.363 0.283 11.911
O 7.363 8.371 7.747
O 8.355 2.603 10.516
O 8.355 6.051 9.142
O 8.371 1.291 4.471
O 8.371 7.363 2.082
```

# 3
DFT (r²SCAN) results for an optimized crystal structure of Cu2SO5.

```
16
Lattice="4.666 -3.136 0.000 4.666 3.136 0.000 -4.047 0.000 6.457" Properties=species:S:1:pos:R:3 pbc="T T T"
Cu 2.333 1.568 0.000
Cu -0.250 0.000 1.420
Cu 2.333 -1.568 0.000
Cu 5.535 0.000 5.037
S 0.949 0.000 4.417
S 4.336 0.000 2.039
O 1.311 0.000 0.153
O 0.891 0.000 2.956
O 3.550 1.205 1.623
O -0.365 0.000 5.041
O 1.735 1.205 4.833
O 3.550 -1.205 1.623
O 5.650 0.000 1.416
O 1.735 -1.205 4.833
O 4.394 0.000 3.500
O 3.973 0.000 6.303
```

# 4
DFT (r²SCAN) results for an optimized crystal structure of HfAl2Zn.

```
4
Lattice="4.039 0.000 0.000 0.000 4.039 0.000 0.000 0.000 3.998" Properties=species:S:1:pos:R:3 pbc="T T T"
Hf 0.000 0.000 0.000
Al 0.000 2.019 1.999
Al 2.019 0.000 1.999
Zn 2.019 2.019 0.000
```

# 5
DFT (r²SCAN) results for an optimized crystal structure of Zr2Pd.

```
3
Lattice="-1.666 1.666 5.415 1.666 -1.666 5.415 1.666 1.666 -5.415" Properties=species:S:1:pos:R:3 pbc="T T T"
Zr 0.000 0.000 1.693
Zr 0.000 0.000 9.137
Pd 0.000 0.000 5.415
```

# 6
DFT (r²SCAN) results for an optimized crystal structure of Zr4Sc5N10.

```
19
Lattice="5.090 -2.243 0.000 5.090 2.243 0.000 -0.014 0.000 10.162" Properties=species:S:1:pos:R:3 pbc="T T T"
Zr 0.951 0.000 1.984
Zr 2.016 0.000 9.178
Zr 8.150 0.000 0.985
Zr 9.215 0.000 8.178
Sc -0.007 0.000 5.081
Sc 3.062 0.000 6.061
Sc 4.072 0.000 3.036
Sc 6.094 0.000 7.126
Sc 7.104 0.000 4.102
N 0.000 0.000 0.000
N 0.997 0.000 7.147
N 2.022 0.000 4.064
N 2.888 0.000 1.055
N 3.992 0.000 8.007
N 5.083 0.000 5.081
N 6.174 0.000 2.155
N 7.278 0.000 9.107
N 8.144 0.000 6.098
N 9.169 0.000 3.015
```

# 7
DFT (r²SCAN) results for an optimized crystal structure of ZrSe3.

```
8
Lattice="5.480 0.000 0.000 0.000 3.780 0.000 -1.286 0.000 9.626" Properties=species:S:1:pos:R:3 pbc="T T T"
Zr 0.729 0.945 3.338
Zr 3.465 2.835 6.288
Se -0.832 0.945 7.909
Se 0.727 2.835 5.321
Se 1.892 2.835 1.692
Se 2.303 0.945 7.934
Se 3.468 0.945 4.306
Se 5.027 2.835 1.717
```

# 8
DFT (r²SCAN) results for an optimized crystal structure of Ca3HfSi2O9.

```
60
Lattice="7.359 0.000 0.000 0.000 10.138 0.000 -0.233 0.000 10.420" Properties=species:S:1:pos:R:3 pbc="T T T"
Ca 0.849 1.711 0.906
Ca 0.733 3.358 6.115
Ca 2.592 0.799 4.051
Ca 2.476 4.270 9.261
Ca 2.647 7.041 4.171
Ca 2.531 8.165 9.381
Ca 4.595 1.972 1.039
Ca 4.479 3.097 6.249
Ca 4.650 5.867 1.159
Ca 4.534 9.339 6.369
Ca 6.393 6.780 4.304
Ca 6.277 8.427 9.514
Hf 0.863 5.693 1.203
Hf 0.747 9.514 6.413
Hf 6.379 0.624 4.007
Hf 6.263 4.445 9.217
Si 1.076 6.321 7.114
Si 1.192 8.886 1.904
Si 2.764 1.382 8.413
Si 2.880 3.687 3.203
Si 4.246 6.451 7.216
Si 4.363 8.756 2.006
Si 5.934 1.252 8.516
Si 6.050 3.817 3.306
O 0.561 0.027 2.668
O 0.445 5.042 7.878
O 0.559 1.133 5.327
O 0.675 3.936 0.117
O 0.720 7.438 2.478
O 0.603 7.768 7.688
O 0.936 6.195 5.525
O 1.053 9.011 0.316
O 2.055 0.015 7.925
O 2.171 5.054 2.715
O 2.488 6.177 0.170
O 2.372 9.030 5.380
O 2.568 2.360 2.328
O 2.451 2.709 7.538
O 2.568 1.705 9.974
O 2.684 3.364 4.765
O 2.654 6.152 7.584
O 2.771 9.054 2.374
O 4.355 1.083 8.046
O 4.472 3.986 2.836
O 4.442 6.774 5.655
O 4.558 8.433 0.445
O 4.675 7.429 2.882
O 4.558 7.778 8.092
O 4.754 1.108 5.040
O 4.638 3.961 10.250
O 4.955 5.084 7.705
O 5.071 10.123 2.495
O 6.073 1.126 10.104
O 6.190 3.942 4.894
O 6.523 2.370 2.732
O 6.407 2.699 7.942
O 6.451 6.202 10.303
O 6.568 9.005 5.093
O 6.681 5.095 2.542
O 6.565 10.111 7.751
```

| no. | energy (eV/atom) | formation enthalpy at 0 K (eV per atom) | total moment (μB per formula unit) |
| --- | --- | --- | --- |
| 1 | -14.554 | -0.1845 | 0.00 |
| 2 | -10.109 | -2.7034 | 0.00 |
| 3 | -8.561 | -1.1120 | 2.01 |
| 4 | -17.304 | -0.4222 | 0.00 |
| 5 | -23.323 | -0.5032 | 0.00 |
| 6 | -14.616 | -2.0219 | 0.00 |
| 7 | -17.658 | -1.2368 | 0.00 |
| 8 | -12.616 | -3.4447 | 0.00 |